No. 1
Here is crystalline Li2V2Si4O11 at its relaxed geometry from the Materials Project. Energies are from PBE+U.

Calculated values
magnetization: 0.00 μB/atom
ΔE to the lowest computed polymorph: 0.00 eV/f.u.
space group: P-1, No. 2
total DFT energy (no corrections): -284.6 eV for the cell shown
calculated formation energy: -2903 meV per atom

a = 7.005 Å, b = 7.523 Å, c = 8.969 Å
α = 100.04°, β = 100.79°, γ = 103.73°
Atoms (fractional coordinates):
Li1 0.107 0.284 0.196
Li2 0.371 0.756 0.847
Li3 0.629 0.244 0.153
Li4 0.893 0.716 0.804
V1 0.127 0.888 0.607
V2 0.380 0.123 0.390
V3 0.620 0.877 0.610
V4 0.873 0.112 0.393
Si1 0.024 0.727 0.230
Si2 0.259 0.113 0.966
Si3 0.263 0.471 0.597
Si4 0.463 0.731 0.234
Si5 0.537 0.269 0.766
Si6 0.737 0.529 0.403
Si7 0.741 0.887 0.034
Si8 0.976 0.273 0.770
O1 0.080 0.917 0.368
O2 0.100 0.243 0.934
O3 0.106 0.453 0.716
O4 0.178 0.904 0.853
O5 0.179 0.311 0.435
O6 0.217 0.660 0.190
O7 0.315 0.135 0.151
O8 0.316 0.692 0.593
O9 0.436 0.078 0.629
O10 0.468 0.443 0.706
O11 0.475 0.235 0.930
O12 0.525 0.765 0.070
O13 0.532 0.557 0.294
O14 0.564 0.922 0.371
O15 0.684 0.308 0.407
O16 0.685 0.865 0.849
O17 0.783 0.340 0.810
O18 0.821 0.689 0.565
O19 0.822 0.096 0.147
O20 0.894 0.547 0.284
O21 0.900 0.757 0.066
O22 0.920 0.083 0.632



No. 2
Here is crystalline Li2VSiO4 at its relaxed geometry from the Materials Project. Energies are from PBE+U.

Calculated values
magnetization: 0.00 μB/atom
total DFT energy (no corrections): -327.2 eV for the cell shown
calculated formation energy: -2608 meV per atom

a = 4.864 Å, b = 8.848 Å, c = 12.741 Å
α = 108.32°, β = 99.53°, γ = 91.62°
Atoms (fractional coordinates):
O1 0.055 0.721 0.645
O2 0.965 0.333 0.219
O3 0.397 0.606 0.324
O4 0.898 0.106 0.324
O5 0.936 0.617 0.103
O6 0.555 0.221 0.645
O7 0.517 0.606 0.561
O8 0.136 0.409 0.698
O9 0.972 0.122 0.955
O10 0.017 0.106 0.561
O11 0.396 0.268 0.349
O12 0.330 0.896 0.897
O13 0.974 0.423 0.440
O14 0.474 0.923 0.440
O15 0.015 0.893 0.052
O16 0.896 0.768 0.349
O17 0.227 0.162 0.780
O18 0.465 0.833 0.218
O19 0.515 0.393 0.052
O20 0.636 0.909 0.698
O21 0.436 0.117 0.103
O22 0.830 0.395 0.897
O23 0.472 0.622 0.955
O24 0.727 0.662 0.780
Li1 0.750 0.208 0.062
Li2 0.190 0.308 0.937
Li3 0.772 0.434 0.753
Li4 0.605 0.486 0.426
Li5 0.193 0.495 0.587
Li6 0.272 0.934 0.753
Li7 0.105 0.986 0.426
Li8 0.690 0.808 0.937
Li9 0.000 0.561 0.234
Li10 0.693 0.995 0.587
Li11 0.250 0.708 0.062
Li12 0.500 0.061 0.234
Si1 0.230 0.227 0.672
Si2 0.552 0.781 0.332
Si3 0.688 0.507 0.000
Si4 0.730 0.727 0.672
Si5 0.052 0.281 0.332
Si6 0.188 0.007 0.000
V1 0.679 0.184 0.473
V2 0.752 0.150 0.805
V3 0.420 0.355 0.197
V4 0.920 0.855 0.197
V5 0.252 0.650 0.805
V6 0.179 0.684 0.473



No. 3
Here is crystalline LiV2Zn2Si2O10 at its relaxed geometry from the Materials Project. Energies are from PBE+U.

Calculated values
magnetization: 0.11 μB/atom
ΔE to the lowest computed polymorph: 0.89 eV/f.u.
space group: P1, No. 1
total DFT energy (no corrections): -115.0 eV for the cell shown
calculated formation energy: -2491 meV per atom

a = 5.323 Å, b = 5.469 Å, c = 7.259 Å
α = 106.68°, β = 106.34°, γ = 97.07°
Atoms (fractional coordinates):
Li1 0.000 0.000 0.000
V1 0.500 0.999 0.000
V2 0.501 0.999 0.500
Zn1 0.265 0.397 0.320
Zn2 0.737 0.601 0.681
Si1 0.171 0.375 0.754
Si2 0.830 0.623 0.246
O1 0.148 0.740 0.393
O2 0.170 0.690 0.853
O3 0.258 0.228 0.921
O4 0.362 0.339 0.607
O5 0.394 0.071 0.232
O6 0.607 0.927 0.768
O7 0.640 0.659 0.394
O8 0.743 0.769 0.080
O9 0.832 0.308 0.147
O10 0.853 0.258 0.607



No. 4
Here is crystalline LiV2Zn2Si2O10 at its relaxed geometry from the Materials Project. Energies are from PBE+U.

Calculated values
magnetization: 0.10 μB/atom
ΔE to the lowest computed polymorph: 1.27 eV/f.u.
space group: P1, No. 1
total DFT energy (no corrections): -114.6 eV for the cell shown
calculated formation energy: -2469 meV per atom

a = 5.403 Å, b = 5.508 Å, c = 7.349 Å
α = 108.07°, β = 109.11°, γ = 94.79°
Atoms (fractional coordinates):
Li1 0.000 0.000 0.000
V1 0.579 0.837 0.097
V2 0.582 0.827 0.589
Zn1 0.365 0.238 0.414
Zn2 0.838 0.453 0.862
Si1 0.267 0.225 0.854
Si2 0.911 0.458 0.335
O1 0.232 0.576 0.483
O2 0.260 0.538 0.943
O3 0.361 0.102 0.036
O4 0.443 0.166 0.705
O5 0.504 0.913 0.359
O6 0.676 0.760 0.838
O7 0.717 0.510 0.471
O8 0.816 0.575 0.149
O9 0.918 0.143 0.242
O10 0.939 0.103 0.736



No. 5
Here is crystalline LiV2Zn2Si2O10 at its relaxed geometry from the Materials Project. Energies are from PBE+U.

Calculated values
magnetization: 0.06 μB/atom
ΔE to the lowest computed polymorph: 0.54 eV/f.u.
space group: P1, No. 1
total DFT energy (no corrections): -115.3 eV for the cell shown
calculated formation energy: -2511 meV per atom

a = 5.221 Å, b = 5.631 Å, c = 7.407 Å
α = 108.23°, β = 105.24°, γ = 101.40°
Atoms (fractional coordinates):
Li1 0.000 0.000 0.000
V1 0.004 0.000 0.499
V2 0.504 0.500 0.999
Zn1 0.488 0.881 0.708
Zn2 0.519 0.119 0.291
Si1 0.072 0.415 0.257
Si2 0.936 0.586 0.742
O1 0.168 0.178 0.326
O2 0.185 0.704 0.432
O3 0.194 0.374 0.070
O4 0.282 0.695 0.852
O5 0.355 0.188 0.746
O6 0.652 0.812 0.253
O7 0.726 0.305 0.147
O8 0.814 0.626 0.929
O9 0.822 0.297 0.566
O10 0.839 0.823 0.673



No. 6
Here is crystalline LiV2Zn2Si2O10 at its relaxed geometry from the Materials Project. Energies are from PBE+U.

Calculated values
magnetization: 0.18 μB/atom
ΔE to the lowest computed polymorph: 0.00 eV/f.u.
space group: P1, No. 1
total DFT energy (no corrections): -115.9 eV for the cell shown
calculated formation energy: -2543 meV per atom

a = 5.333 Å, b = 5.541 Å, c = 7.252 Å
α = 107.51°, β = 108.85°, γ = 96.20°
Atoms (fractional coordinates):
Li1 0.000 0.000 0.000
V1 0.474 0.073 0.804
V2 0.530 0.084 0.313
Zn1 0.244 0.428 0.533
Zn2 0.731 0.663 0.076
Si1 0.176 0.469 0.063
Si2 0.817 0.709 0.562
O1 0.109 0.880 0.747
O2 0.185 0.781 0.151
O3 0.270 0.328 0.238
O4 0.366 0.405 0.923
O5 0.416 0.132 0.561
O6 0.581 0.728 0.667
O7 0.625 0.998 0.051
O8 0.744 0.814 0.368
O9 0.852 0.404 0.476
O10 0.853 0.339 0.927



No. 7
Here is crystalline LiV2Zn2Si2O10 at its relaxed geometry from the Materials Project. Energies are from PBE+U.

Calculated values
magnetization: 0.06 μB/atom
ΔE to the lowest computed polymorph: 0.75 eV/f.u.
space group: P1, No. 1
total DFT energy (no corrections): -115.1 eV for the cell shown
calculated formation energy: -2499 meV per atom

a = 5.174 Å, b = 5.549 Å, c = 7.395 Å
α = 108.72°, β = 104.15°, γ = 101.90°
Atoms (fractional coordinates):
Li1 0.000 0.000 0.000
V1 0.001 0.002 0.498
V2 0.501 0.502 0.998
Zn1 0.080 0.490 0.292
Zn2 0.922 0.514 0.703
Si1 0.460 0.118 0.266
Si2 0.543 0.886 0.730
O1 0.146 0.299 0.765
O2 0.197 0.763 0.614
O3 0.322 0.141 0.447
O4 0.329 0.325 0.173
O5 0.339 0.827 0.081
O6 0.663 0.177 0.915
O7 0.673 0.679 0.823
O8 0.681 0.863 0.549
O9 0.806 0.241 0.382
O10 0.856 0.706 0.230



No. 8
Here is crystalline Li2Si2WO7 at its relaxed geometry from the Materials Project. Energies are from PBE+U.

Calculated values
magnetization: 0.17 μB/atom
space group: P-1, No. 2
total DFT energy (no corrections): -171.5 eV for the cell shown
calculated formation energy: -2728 meV per atom

a = 5.441 Å, b = 6.172 Å, c = 8.775 Å
α = 70.46°, β = 87.00°, γ = 84.80°
Atoms (fractional coordinates):
Li1 0.209 0.058 0.354
Li2 0.247 0.190 0.969
Li3 0.753 0.810 0.031
Li4 0.791 0.942 0.646
Si1 0.192 0.729 0.841
Si2 0.290 0.200 0.631
Si3 0.710 0.800 0.369
Si4 0.808 0.271 0.159
W1 0.265 0.580 0.220
W2 0.735 0.420 0.780
O1 0.078 0.302 0.730
O2 0.101 0.324 0.147
O3 0.214 0.932 0.658
O4 0.241 0.830 0.988
O5 0.281 0.319 0.436
O6 0.391 0.515 0.846
O7 0.434 0.824 0.298
O8 0.566 0.176 0.702
O9 0.609 0.485 0.154
O10 0.719 0.681 0.564
O11 0.759 0.170 0.012
O12 0.786 0.068 0.342
O13 0.899 0.676 0.853
O14 0.922 0.698 0.270